Computed, not measured: an optimized crystal structure of Er3Ge3Ru2 at the meta-GGA r2SCAN level of DFT.

Cell: 5.757 5.757 13.791 Å, 90.00 90.00 136.97°
Fractional coordinates of all 16 atoms:
Er 0.079 0.921 0.613
Er 0.079 0.921 0.887
Er 0.353 0.647 0.750
Er 0.647 0.353 0.250
Er 0.921 0.079 0.113
Er 0.921 0.079 0.387
Ge 0.337 0.663 0.250
Ge 0.384 0.616 0.541
Ge 0.384 0.616 0.959
Ge 0.616 0.384 0.041
Ge 0.616 0.384 0.459
Ge 0.663 0.337 0.750
Ru 0.213 0.787 0.083
Ru 0.213 0.787 0.417
Ru 0.787 0.213 0.583
Ru 0.787 0.213 0.917

Calculated values
Energy of formation from the pure elements (kJ per mole of atoms): -83
Symmetry: No. 63
Raw total energy (eV/atom): -25.14